No. 1
Compound: Li2Ti3O6
Source: the Materials Project
Functional: PBE
Structure: optimized geometry

```
Li2Ti3O6
1.0
0.000 4.323 8.560
2.854 0.000 8.560
2.854 4.323 0.000
Li Ti O
4 6 12
Cartesian
2.141 3.242 0.753
3.568 5.404 5.033
2.141 3.242 12.087
3.568 5.404 16.367
0.714 1.081 2.140
2.141 3.242 3.597
3.568 5.404 7.877
2.141 3.242 9.243
3.568 5.404 13.523
4.995 7.565 14.980
3.603 3.163 4.951
2.141 0.963 6.420
3.603 3.321 7.888
5.030 5.482 9.231
3.568 3.124 10.700
5.030 5.325 12.168
0.678 3.321 4.951
2.141 5.521 6.420
0.678 3.163 7.888
2.105 5.325 9.231
3.568 7.683 10.700
2.105 5.482 12.168
```

Calculated values
**E_form**: -3114 meV/atom
**Polymorph energy (0 for the lowest one)**: 0.0 meV/atom
**Symmetry**: Fddd, No. 70
**Theoretical density**: 4.0 g cm⁻³
**Electronic total energy**: -0.29174 hartree per atom

=====

No. 2
Compound: Li6Ti2O7
Source: the Materials Project
Functional: PBE
Structure: optimized geometry

```
Li6Ti2O7
1.0
5.105 0.000 0.000
0.000 8.983 0.000
-0.099 0.000 15.689
Li Ti O
24 8 28
Cartesian
0.713 0.567 2.813
0.796 6.763 9.163
0.784 0.461 14.521
0.955 1.966 0.953
0.932 2.299 4.808
0.976 7.223 1.195
1.080 2.585 12.916
1.139 4.491 10.300
1.163 0.537 11.007
1.270 4.450 2.814
1.248 0.111 7.090
1.284 2.126 8.681
3.722 6.617 7.008
3.757 4.602 8.599
3.736 8.941 12.876
3.842 5.028 4.683
3.867 0.000 5.389
3.925 7.076 2.773
4.029 2.732 14.494
4.073 6.790 10.882
4.051 6.457 14.736
4.222 4.952 1.168
4.209 2.271 6.526
4.293 5.059 12.876
1.282 4.499 6.889
1.400 6.957 4.713
1.424 6.929 12.600
1.516 4.564 15.151
3.490 0.073 0.539
3.582 2.437 3.090
3.606 2.465 10.976
3.724 0.008 8.800
0.249 7.950 3.704
0.400 5.594 5.582
0.576 4.946 8.489
0.713 5.800 13.948
0.724 8.572 12.755
0.847 6.263 11.026
0.919 2.848 14.874
1.027 2.707 6.691
1.108 5.212 1.053
1.667 0.077 0.686
1.738 2.406 3.021
1.938 0.283 8.921
2.321 7.926 5.951
2.457 1.625 12.056
2.549 6.117 3.633
2.684 3.435 9.738
3.068 4.774 6.768
3.267 6.898 12.668
3.339 4.569 15.003
3.897 0.721 14.637
3.979 7.198 8.999
4.087 7.339 0.815
4.158 1.771 4.663
4.282 4.081 2.934
4.293 1.309 1.742
4.430 0.454 7.201
4.606 1.103 10.107
4.757 3.459 11.986
```

Calculated values
**E_form**: -2732 meV/atom
**Polymorph energy (0 for the lowest one)**: 73.8 meV/atom
**Symmetry**: P2_1, No. 4
**Theoretical density**: 2.3 g cm⁻³
**Electronic total energy**: -0.24022 hartree per atom

=====

No. 3
Compound: Li5Ti3O8
Source: the Materials Project
Functional: PBE
Structure: optimized geometry

```
Li5Ti3O8
1.0
2.955 1.706 4.868
-2.955 1.706 4.868
0.000 -3.412 4.868
Li Ti O
5 3 8
Cartesian
0.000 0.000 0.000
-1.478 -0.853 4.868
-1.478 0.853 9.737
0.000 1.706 4.868
0.000 0.000 7.303
-2.955 0.000 7.303
-1.478 0.853 2.434
1.478 0.853 2.434
-1.551 -0.896 8.404
0.000 0.000 3.577
0.000 -1.791 6.201
-1.551 0.896 6.201
1.551 -0.896 8.404
0.000 1.791 8.404
0.000 0.000 11.028
1.551 0.896 6.201
```

Calculated values
**E_form**: -2959 meV/atom
**Symmetry**: R-3m, No. 166
**Theoretical density**: 3.5 g cm⁻³
**Electronic total energy**: -0.26336 hartree per atom

=====

No. 4
Compound: Li4Ti9O20
Source: the Materials Project
Functional: PBE
Structure: optimized geometry

```
Li4Ti9O20
1.0
5.974 0.000 0.000
2.980 5.180 0.000
2.977 -1.713 24.433
Li Ti O
8 18 40
Cartesian
0.000 0.000 0.000
2.940 1.724 10.417
5.907 3.444 15.228
5.931 0.005 23.740
4.427 -0.831 12.243
5.935 3.461 4.259
5.919 3.437 0.655
8.949 1.755 14.054
2.922 3.465 2.382
1.416 0.805 2.464
4.465 0.937 17.188
3.006 1.766 4.933
4.413 2.664 7.435
2.995 -0.001 7.340
7.363 2.620 22.014
6.046 3.524 9.927
5.957 1.772 12.279
5.831 -0.048 14.581
4.478 0.846 2.396
8.851 3.444 17.188
7.438 0.796 17.080
7.353 2.537 7.304
8.903 1.704 19.670
10.415 2.596 22.078
8.918 -0.049 22.048
7.364 -0.831 12.192
1.638 0.989 6.187
2.947 3.228 6.182
4.231 0.983 20.849
5.925 3.447 21.023
2.935 1.731 8.370
4.598 4.230 8.400
4.340 -0.918 23.028
5.937 1.843 23.040
2.868 -0.175 10.979
4.602 2.696 11.023
4.344 4.365 1.438
2.966 1.725 1.402
5.848 3.386 13.240
4.654 0.869 13.497
2.952 0.204 3.614
4.276 2.483 3.621
5.948 1.566 16.016
4.602 -0.770 15.963
4.235 0.962 6.188
5.928 3.462 6.269
5.929 0.011 18.101
7.625 2.501 18.227
7.224 4.215 8.429
5.923 1.936 8.389
7.624 0.974 20.846
8.915 3.207 20.852
7.232 2.616 10.980
6.044 0.063 11.308
8.923 1.719 23.079
7.522 -0.924 23.041
7.290 0.801 13.449
9.016 3.652 13.492
5.937 1.607 1.445
7.522 4.365 1.427
7.299 -0.758 16.005
8.934 1.746 16.065
5.937 -0.011 3.446
7.617 2.488 3.615
10.235 2.503 18.225
8.933 0.240 18.223
```

Calculated values
**E_form**: -3248 meV/atom
**Polymorph energy (0 for the lowest one)**: 37.1 meV/atom
**Symmetry**: P1, No. 1
**Theoretical density**: 3.4 g cm⁻³
**Electronic total energy**: -0.30189 hartree per atom

=====

No. 5
Compound: Li17Ti20O40
Source: the Materials Project
Functional: PBE
Structure: optimized geometry

```
Li17Ti20O40
1.0
9.595 0.000 0.000
0.000 2.949 0.000
-4.528 0.000 25.091
Li Ti O
17 20 40
Cartesian
0.000 0.000 0.000
7.791 0.000 9.992
-2.723 0.000 15.099
2.124 1.475 1.283
1.247 1.475 6.264
-0.547 1.475 16.299
-1.458 1.475 21.308
0.382 1.475 11.319
4.327 0.000 2.503
3.431 0.000 7.597
1.637 0.000 17.493
0.741 0.000 22.588
4.686 1.475 13.772
6.525 1.475 3.783
5.615 1.475 8.792
3.820 1.475 18.826
2.943 1.475 23.808
-2.264 1.475 12.545
-4.039 1.475 22.462
-3.135 1.475 17.710
1.654 0.000 3.789
-1.021 0.000 18.823
0.816 0.000 8.790
-0.049 0.000 13.779
-1.848 0.000 23.871
2.057 1.475 14.895
4.798 1.475 0.000
3.886 1.475 5.042
1.181 1.475 20.049
3.010 1.475 10.196
6.916 0.000 1.219
5.116 0.000 11.311
4.251 0.000 16.301
6.089 0.000 6.267
3.413 0.000 21.302
8.202 1.475 7.380
9.107 1.475 2.629
0.799 0.000 1.956
-0.991 0.000 11.940
-1.896 0.000 16.985
-0.478 1.475 9.321
-1.399 1.475 14.377
-3.198 1.475 24.393
-0.025 0.000 7.000
-2.720 0.000 22.052
0.491 1.475 4.375
-2.180 1.475 19.439
1.097 1.475 13.156
1.650 0.000 10.579
2.987 1.475 3.216
-0.607 1.475 23.221
2.105 1.475 8.264
3.493 0.000 0.638
2.594 0.000 5.635
0.319 1.475 18.216
0.805 0.000 15.619
-0.090 0.000 20.660
5.157 0.000 4.431
4.262 0.000 9.472
2.474 0.000 19.455
1.574 0.000 24.453
4.748 1.475 6.875
2.963 1.475 16.827
5.674 1.475 1.870
2.080 1.475 21.875
3.418 0.000 14.511
3.970 1.475 11.934
7.247 1.475 5.652
4.576 1.475 20.716
7.788 0.000 3.039
5.093 0.000 18.090
8.265 1.475 0.698
6.467 1.475 10.714
5.546 1.475 15.770
6.964 0.000 8.106
6.059 0.000 13.151
4.269 0.000 23.135
```

Calculated values
**E_form**: -2997 meV/atom
**Symmetry**: P2/m, No. 10
**Theoretical density**: 4.0 g cm⁻³
**Electronic total energy**: -0.28234 hartree per atom

=====

No. 6
Compound: LiTi6O12
Source: the Materials Project
Functional: PBE
Structure: optimized geometry

```
LiTi6O12
1.0
4.934 0.000 0.000
0.000 5.942 0.000
-0.521 0.000 14.234
Li Ti O
2 12 24
Cartesian
0.000 0.741 0.000
-0.261 5.201 7.117
1.613 2.231 8.839
1.873 3.712 1.722
2.055 0.749 1.875
1.795 5.193 8.991
1.766 2.251 13.305
2.027 3.692 6.188
2.032 0.766 6.198
1.771 5.177 13.314
4.448 2.232 4.008
4.187 3.711 11.125
4.199 0.745 11.066
4.460 5.198 3.950
0.204 2.229 10.184
0.465 3.713 3.067
0.475 0.742 3.062
0.214 5.200 10.178
0.659 0.742 12.580
0.920 5.201 5.463
0.855 0.700 7.891
1.115 2.184 0.774
0.854 3.758 7.891
1.116 5.242 0.774
1.007 2.226 5.359
0.746 3.717 12.476
2.706 0.773 9.734
2.968 2.258 2.621
2.707 3.684 9.738
2.967 5.170 2.617
2.807 2.229 7.206
3.068 3.713 0.089
3.108 0.744 0.112
2.847 5.199 7.229
3.503 0.726 4.939
3.242 5.216 12.056
3.252 2.213 12.070
3.512 3.730 4.953
```

Calculated values
**E_form**: -3372 meV/atom
**Polymorph energy (0 for the lowest one)**: 0.0 meV/atom
**Symmetry**: Pc, No. 7
**Theoretical density**: 3.9 g cm⁻³
**Electronic total energy**: -0.31813 hartree per atom